Entry 1:
# Na3ZnB5O10

A relaxed structure of Na3ZnB5O10 (GGA-PBE, the Materials Project database).

Values from the calculation:
- E (MP2020): -7.2610 eV/atom
- E: -6.899 eV/atom

a b c (Å): 6.756 18.365 8.031
angles (deg): 90.00 115.54 90.00
Space group P2_1/c (No. 14)
Asymmetric unit:
Na (0.138, 0.070, 0.339) (multiplicity 4)
Na (0.171, 0.080, 0.886) (multiplicity 4)
Na (0.294, 0.743, 0.419) (multiplicity 4)
Zn (0.348, 0.596, 0.194) (multiplicity 4)
B (0.054, 0.197, 0.503) (multiplicity 4)
B (0.304, 0.203, 0.169) (multiplicity 4)
B (0.319, 0.577, 0.838) (multiplicity 4)
B (0.328, 0.572, 0.535) (multiplicity 4)
B (0.438, 0.166, 0.727) (multiplicity 4)
O (0.095, 0.228, 0.041) (multiplicity 4)
O (0.128, 0.676, 0.144) (multiplicity 4)
O (0.204, 0.146, 0.620) (multiplicity 4)
O (0.248, 0.546, 0.659) (multiplicity 4)
O (0.256, 0.545, 0.957) (multiplicity 4)
O (0.257, 0.542, 0.366) (multiplicity 4)
O (0.340, 0.131, 0.194) (multiplicity 4)
O (0.437, 0.642, 0.876) (multiplicity 4)
O (0.465, 0.245, 0.757) (multiplicity 4)
O (0.476, 0.630, 0.589) (multiplicity 4)



Entry 2:
# K4Mg2H16S4O23

A relaxed structure of K4Mg2H16S4O23 (GGA-PBE, the Materials Project database).

Values from the calculation:
- E (MP2020): -5.6575 eV/atom
- E: -5.335 eV/atom

a b c (Å): 7.749 7.918 9.936
angles (deg): 83.72 84.39 80.58
Space group P1 (No. 1)
Asymmetric unit:
K (0.000, 0.000, 0.000) (multiplicity 1)
K (0.168, 0.190, 0.576) (multiplicity 1)
K (0.474, 0.502, 0.002) (multiplicity 1)
K (0.671, 0.682, 0.523) (multiplicity 1)
Mg (0.085, 0.577, 0.229) (multiplicity 1)
Mg (0.600, 0.087, 0.780) (multiplicity 1)
H (0.001, 0.507, 0.551) (multiplicity 1)
H (0.060, 0.472, 0.970) (multiplicity 1)
H (0.128, 0.647, 0.554) (multiplicity 1)
H (0.141, 0.652, 0.963) (multiplicity 1)
H (0.270, 0.235, 0.901) (multiplicity 1)
H (0.296, 0.249, 0.253) (multiplicity 1)
H (0.374, 0.133, 0.018) (multiplicity 1)
H (0.412, 0.374, 0.302) (multiplicity 1)
H (0.430, 0.406, 0.661) (multiplicity 1)
H (0.538, 0.309, 0.543) (multiplicity 1)
H (0.637, 0.848, 0.023) (multiplicity 1)
H (0.750, 0.767, 0.900) (multiplicity 1)
H (0.753, 0.803, 0.246) (multiplicity 1)
H (0.814, 0.027, 0.540) (multiplicity 1)
H (0.886, 0.907, 0.301) (multiplicity 1)
H (0.913, 0.924, 0.660) (multiplicity 1)
S (0.330, 0.827, 0.685) (multiplicity 1)
S (0.348, 0.844, 0.175) (multiplicity 1)
S (0.816, 0.318, 0.383) (multiplicity 1)
S (0.831, 0.350, 0.891) (multiplicity 1)
O (0.036, 0.333, 0.893) (multiplicity 1)
O (0.083, 0.572, 0.027) (multiplicity 1)
O (0.096, 0.539, 0.597) (multiplicity 1)
O (0.139, 0.868, 0.726) (multiplicity 1)
O (0.247, 0.739, 0.280) (multiplicity 1)
O (0.296, 0.369, 0.271) (multiplicity 1)
O (0.300, 0.031, 0.189) (multiplicity 1)
O (0.305, 0.809, 0.039) (multiplicity 1)
O (0.362, 0.871, 0.536) (multiplicity 1)
O (0.392, 0.202, 0.929) (multiplicity 1)
O (0.400, 0.642, 0.722) (multiplicity 1)
O (0.425, 0.936, 0.756) (multiplicity 1)
O (0.479, 0.290, 0.636) (multiplicity 1)
O (0.542, 0.788, 0.185) (multiplicity 1)
O (0.622, 0.364, 0.376) (multiplicity 1)
O (0.707, 0.877, 0.936) (multiplicity 1)
O (0.764, 0.294, 0.034) (multiplicity 1)
O (0.793, 0.955, 0.627) (multiplicity 1)
O (0.808, 0.204, 0.806) (multiplicity 1)
O (0.859, 0.368, 0.515) (multiplicity 1)
O (0.872, 0.128, 0.380) (multiplicity 1)
O (0.875, 0.795, 0.272) (multiplicity 1)
O (0.912, 0.415, 0.271) (multiplicity 1)



Results for energy relative to the elements: -2.62 -1.73 (in eV/atom, following the order of the records).